(1)
GGA-PBE SrB12H12, optimized geometry; DFT total energy = -5.2540 eV per atom; symmetry = P31c (159); corrected total energy (MP2020 scheme) = -5.34 eV per atom; crystal system = trigonal; formation energy = -10.9 eV per formula unit
1.0
7.1473 0.0000 0.0000
-3.5736 6.1897 0.0000
0.0000 0.0000 11.6028
Sr B H
2 24 24
direct
0.3333 0.6667 0.0000 Sr
0.6667 0.3333 0.5000 Sr
0.0759 0.4742 0.3440 B
0.1391 0.7312 0.3991 B
0.1743 0.5469 0.4866 B
0.2144 0.7073 0.2559 B
0.2688 0.4079 0.3991 B
0.2927 0.5072 0.2559 B
0.3726 0.8257 0.4866 B
0.3983 0.9241 0.3440 B
0.4079 0.2688 0.8991 B
0.4531 0.6274 0.4866 B
0.4742 0.0759 0.8440 B
0.4928 0.7856 0.2559 B
0.5072 0.2927 0.7559 B
0.5258 0.6017 0.3440 B
0.5469 0.1743 0.9866 B
0.5921 0.8609 0.3991 B
0.6017 0.5258 0.8440 B
0.6274 0.4531 0.9866 B
0.7073 0.2144 0.7559 B
0.7312 0.1391 0.8991 B
0.7856 0.4928 0.7559 B
0.8257 0.3726 0.9866 B
0.8609 0.5921 0.8991 B
0.9241 0.3983 0.8440 B
0.0017 0.7758 0.4193 H
0.0626 0.4618 0.5698 H
0.1073 0.4441 0.8227 H
0.1303 0.7374 0.1733 H
0.2242 0.2259 0.4193 H
0.2259 0.2242 0.9193 H
0.2626 0.3930 0.1733 H
0.3368 0.8927 0.8227 H
0.3930 0.2626 0.6733 H
0.3991 0.9374 0.5698 H
0.4441 0.1073 0.3227 H
0.4618 0.0626 0.0698 H
0.5382 0.6009 0.5698 H
0.5559 0.6632 0.8227 H
0.6009 0.5382 0.0698 H
0.6070 0.8697 0.1733 H
0.6632 0.5559 0.3227 H
0.7374 0.1303 0.6733 H
0.7741 0.9983 0.4193 H
0.7758 0.0017 0.9193 H
0.8697 0.6070 0.6733 H
0.8927 0.3368 0.3227 H
0.9374 0.3991 0.0698 H
0.9983 0.7741 0.9193 H



(2)
GGA-PBE Pr3GaO6, optimized geometry; DFT total energy = -7.7132 eV per atom; symmetry = Cmc2_1 (36); largest piezoelectric modulus = 0.4 C/m²; corrected total energy (MP2020 scheme) = -8.13 eV per atom; crystal system = orthorhombic; formation energy = -34.2 eV per formula unit
1.0
4.6843 -5.8618 0.0000
4.6843 5.8618 0.0000
0.0000 0.0000 5.6728
Pr Ga O
6 2 12
direct
0.1036 0.8964 0.5000 Pr
0.2010 0.4135 0.4560 Pr
0.4135 0.2010 0.9560 Pr
0.5865 0.7990 0.4560 Pr
0.7990 0.5865 0.9560 Pr
0.8964 0.1036 0.0000 Pr
0.3068 0.6932 0.9207 Ga
0.6932 0.3068 0.4207 Ga
0.0850 0.6083 0.7537 O
0.1459 0.1735 0.7265 O
0.1735 0.1459 0.2265 O
0.2847 0.7153 0.2463 O
0.3917 0.9150 0.7537 O
0.4560 0.5440 0.7903 O
0.5440 0.4560 0.2903 O
0.6083 0.0850 0.2537 O
0.7153 0.2847 0.7463 O
0.8265 0.8541 0.7265 O
0.8541 0.8265 0.2265 O
0.9150 0.3917 0.2537 O



(3)
GGA-PBE Na3YTi3P6O24, optimized geometry; DFT total energy = -7.5811 eV per atom; total moment = 0.000 μB per atom; symmetry = P1 (1); corrected total energy (MP2020 scheme) = -8.03 eV per atom; crystal system = triclinic; formation energy = -111.6 eV per formula unit
1.0
8.7846 0.0000 0.0000
-4.3784 7.6580 0.0000
-0.0016 -0.0363 22.5860
Na Y Ti P O
9 3 9 18 72
direct
0.0000 0.0000 0.0000 Na
0.0081 0.9994 0.5014 Na
0.0454 0.3450 0.5863 Na
0.3173 0.3473 0.0848 Na
0.3410 0.6770 0.1679 Na
0.3512 0.6865 0.6727 Na
0.3776 0.0127 0.2525 Na
0.6752 0.3432 0.8364 Na
0.6839 0.3525 0.3387 Na
0.3420 0.6854 0.0143 Y
0.3496 0.6861 0.5215 Y
0.6862 0.3523 0.1923 Y
0.9996 0.0035 0.1486 Ti
0.0076 0.0020 0.6524 Ti
0.0083 0.0113 0.3561 Ti
0.0090 0.0118 0.8525 Ti
0.3410 0.6677 0.3191 Ti
0.3409 0.6753 0.8179 Ti
0.6716 0.3427 0.4821 Ti
0.6738 0.3431 0.6920 Ti
0.6785 0.3443 0.9819 Ti
0.0110 0.2997 0.7515 P
0.0178 0.7319 0.2556 P
0.0397 0.6775 0.9149 P
0.0434 0.3790 0.4189 P
0.2834 0.2988 0.2538 P
0.2971 0.0081 0.7528 P
0.3413 0.3761 0.9168 P
0.3433 0.9760 0.4162 P
0.3786 0.0523 0.0875 P
0.3872 0.3322 0.5885 P
0.6416 0.6763 0.4171 P
0.6423 0.9771 0.9152 P
0.6819 0.0650 0.5889 P
0.6838 0.6402 0.0844 P
0.7177 0.9960 0.2552 P
0.7191 0.7222 0.7526 P
0.9488 0.6292 0.5882 P
0.9658 0.3345 0.0844 P
0.0031 0.8301 0.3091 O
0.0154 0.8362 0.9025 O
0.0190 0.1963 0.4066 O
0.0376 0.2132 0.6947 O
0.0408 0.8429 0.1986 O
0.1291 0.6403 0.5855 O
0.1425 0.6499 0.8628 O
0.1428 0.7200 0.9720 O
0.1461 0.5070 0.3663 O
0.1465 0.4441 0.4766 O
0.1540 0.4854 0.0788 O
0.1757 0.4824 0.7600 O
0.1780 0.9814 0.6971 O
0.1808 0.2157 0.1955 O
0.1822 0.1943 0.9036 O
0.1852 0.0047 0.4062 O
0.1884 0.7195 0.2603 O
0.1886 0.1817 0.3069 O
0.1976 0.0472 0.0914 O
0.2026 0.1665 0.5934 O
0.2082 0.0374 0.8063 O
0.3019 0.4369 0.9750 O
0.3021 0.4823 0.2613 O
0.3028 0.8672 0.4719 O
0.3148 0.8432 0.7596 O
0.3506 0.8694 0.0821 O
0.3599 0.4913 0.5860 O
0.3676 0.5065 0.8652 O
0.3717 0.8830 0.3615 O
0.4645 0.3115 0.2538 O
0.4763 0.1292 0.1458 O
0.4771 0.1762 0.0336 O
0.4782 0.3153 0.5312 O
0.4798 0.1726 0.7445 O
0.5015 0.3541 0.6430 O
0.5103 0.3624 0.9230 O
0.5111 0.1578 0.4245 O
0.5127 0.8753 0.8631 O
0.5138 0.6487 0.3640 O
0.5202 0.8845 0.5876 O
0.5224 0.6613 0.0782 O
0.5333 0.8304 0.2598 O
0.5355 0.7040 0.7599 O
0.5739 0.7161 0.4733 O
0.5825 0.8732 0.9720 O
0.6480 0.5307 0.1401 O
0.6543 0.1581 0.9229 O
0.6536 0.5075 0.4234 O
0.6657 0.1616 0.6435 O
0.6892 0.1544 0.2543 O
0.7002 0.5390 0.7443 O
0.7060 0.5433 0.0295 O
0.7068 0.1773 0.5321 O
0.8095 0.9804 0.1979 O
0.8105 0.8402 0.6970 O
0.8250 0.8339 0.4059 O
0.8265 0.0029 0.9025 O
0.8323 0.0182 0.3088 O
0.8372 0.8114 0.8060 O
0.8410 0.5404 0.5309 O
0.8458 0.3199 0.7446 O
0.8480 0.3160 0.0295 O
0.8528 0.0532 0.5939 O
0.8531 0.8201 0.0917 O
0.8570 0.5514 0.2563 O
0.8577 0.5137 0.6426 O
0.8593 0.5081 0.9220 O
0.8613 0.3656 0.4242 O
0.8922 0.3654 0.1409 O
0.9680 0.8126 0.5943 O
0.9766 0.1631 0.0902 O
0.9824 0.1810 0.8048 O



(4)
GGA-PBE YMg2, optimized geometry; DFT total energy = -3.3092 eV per atom; total moment = 0.046 μB per atom; symmetry = R-3m (166); crystal system = trigonal; formation energy = -0.3 eV per formula unit
1.0
3.0216 1.7445 4.9250
-3.0216 1.7445 4.9250
0.0000 -3.4891 4.9250
Y Mg
2 4
direct
0.1216 0.1216 0.1216 Y
0.8784 0.8784 0.8784 Y
0.0000 0.5000 0.5000 Mg
0.5000 0.0000 0.5000 Mg
0.5000 0.5000 0.0000 Mg
0.5000 0.5000 0.5000 Mg



Among the records above, which one has the highest DFT total energy?
YMg2